# 1
Here is a geometry-optimized NdNiSb3 structure from the Materials Project database. Energies are from GGA-PBE.

Geometry as POSCAR:
```
NdNiSb3
1.0
12.606 0.000 0.000
0.000 6.269 0.000
0.000 0.000 18.535
Nd Ni Sb
12 12 36
direct
0.194 0.060 0.250 Nd
0.194 0.440 0.750 Nd
0.200 0.528 0.084 Nd
0.200 0.528 0.416 Nd
0.200 0.972 0.584 Nd
0.200 0.972 0.916 Nd
0.800 0.028 0.084 Nd
0.800 0.028 0.416 Nd
0.800 0.472 0.584 Nd
0.800 0.472 0.916 Nd
0.806 0.560 0.250 Nd
0.806 0.940 0.750 Nd
0.397 0.250 0.000 Ni
0.397 0.250 0.500 Ni
0.400 0.673 0.676 Ni
0.400 0.673 0.824 Ni
0.400 0.827 0.176 Ni
0.400 0.827 0.324 Ni
0.600 0.173 0.676 Ni
0.600 0.173 0.824 Ni
0.600 0.327 0.176 Ni
0.600 0.327 0.324 Ni
0.603 0.750 0.000 Ni
0.603 0.750 0.500 Ni
0.004 0.250 0.000 Sb
0.004 0.250 0.500 Sb
0.004 0.704 0.666 Sb
0.004 0.704 0.834 Sb
0.004 0.796 0.166 Sb
0.004 0.796 0.334 Sb
0.274 0.026 0.084 Sb
0.274 0.026 0.416 Sb
0.274 0.474 0.584 Sb
0.274 0.474 0.916 Sb
0.277 0.555 0.250 Sb
0.277 0.945 0.750 Sb
0.443 0.184 0.250 Sb
0.443 0.316 0.750 Sb
0.474 0.541 0.087 Sb
0.474 0.541 0.413 Sb
0.474 0.959 0.587 Sb
0.474 0.959 0.913 Sb
0.526 0.041 0.087 Sb
0.526 0.041 0.413 Sb
0.526 0.459 0.587 Sb
0.526 0.459 0.913 Sb
0.557 0.684 0.250 Sb
0.557 0.816 0.750 Sb
0.723 0.055 0.250 Sb
0.723 0.445 0.750 Sb
0.726 0.526 0.084 Sb
0.726 0.526 0.416 Sb
0.726 0.974 0.584 Sb
0.726 0.974 0.916 Sb
0.996 0.204 0.666 Sb
0.996 0.204 0.834 Sb
0.996 0.296 0.166 Sb
0.996 0.296 0.334 Sb
0.996 0.750 0.000 Sb
0.996 0.750 0.500 Sb
```

# 2
Here is a geometry-optimized AuO2F6 structure from the Materials Project database. Energies are from GGA-PBE.

Calculated values
ΔE to the lowest computed polymorph = 2.29 eV per formula unit
total magnetic moment = 3.00 μB per cell

Geometry as POSCAR:
```
AuO2F6
1.0
5.253 0.000 0.000
1.425 5.616 0.000
1.690 -0.363 5.535
Au O F
1 2 6
direct
0.000 0.000 0.000 Au
0.295 0.294 0.386 O
0.731 0.684 0.614 O
0.097 0.376 0.279 F
0.241 0.031 0.682 F
0.308 0.772 0.062 F
0.692 0.229 0.939 F
0.762 0.964 0.318 F
0.932 0.603 0.717 F
```

# 3
Here is a geometry-optimized Na3FeS3 structure from the Materials Project database. Energies are from GGA-PBE.

Geometry as POSCAR:
```
Na3FeS3
1.0
7.184 0.000 0.000
0.000 6.916 0.000
-6.882 0.000 12.524
Na Fe S
12 4 12
direct
0.012 0.015 0.283 Na
0.012 0.485 0.783 Na
0.386 0.013 0.596 Na
0.386 0.487 0.096 Na
0.458 0.514 0.615 Na
0.458 0.986 0.115 Na
0.542 0.014 0.885 Na
0.542 0.486 0.385 Na
0.614 0.513 0.904 Na
0.614 0.987 0.404 Na
0.988 0.515 0.217 Na
0.988 0.985 0.717 Na
0.001 0.626 0.426 Fe
0.001 0.874 0.926 Fe
0.999 0.126 0.074 Fe
0.999 0.374 0.574 Fe
0.010 0.201 0.924 S
0.010 0.299 0.424 S
0.292 0.224 0.221 S
0.292 0.276 0.721 S
0.295 0.744 0.429 S
0.295 0.756 0.929 S
0.705 0.244 0.071 S
0.705 0.256 0.571 S
0.708 0.724 0.279 S
0.708 0.776 0.779 S
0.990 0.701 0.576 S
0.990 0.799 0.076 S
```

# 4
Here is a geometry-optimized CaHfMg14 structure from the Materials Project database. Energies are from GGA-PBE.

Calculated values
ΔE to the lowest computed polymorph = 0.00 eV per formula unit
total magnetic moment = 0.47 μB per cell

Geometry as POSCAR:
```
CaHfMg14
1.0
6.529 0.000 0.000
-3.265 5.655 0.000
0.000 0.000 10.274
Ca Hf Mg
1 1 14
direct
0.000 0.000 0.000 Ca
0.000 0.000 0.500 Hf
0.003 0.502 0.500 Mg
0.006 0.503 0.000 Mg
0.167 0.335 0.258 Mg
0.167 0.335 0.742 Mg
0.167 0.833 0.258 Mg
0.167 0.833 0.742 Mg
0.497 0.503 0.000 Mg
0.497 0.994 0.000 Mg
0.498 0.502 0.500 Mg
0.498 0.997 0.500 Mg
0.665 0.833 0.258 Mg
0.665 0.833 0.742 Mg
0.667 0.333 0.249 Mg
0.667 0.333 0.751 Mg
```

# 5
Here is a geometry-optimized Ba2U2O3 structure from the Materials Project database. Energies are from GGA-PBE.

Calculated values
total magnetic moment = 5.91 μB per cell

Geometry as POSCAR:
```
Ba2U2O3
1.0
5.926 0.000 0.000
0.000 4.024 0.000
-0.140 0.000 7.983
Ba U O
2 2 3
direct
0.000 0.000 0.000 Ba
0.020 0.000 0.497 Ba
0.502 0.500 0.236 U
0.541 0.500 0.744 U
0.361 0.000 0.247 O
0.668 0.000 0.717 O
0.672 0.500 0.998 O
```

# 6
Here is a geometry-optimized EuCu4P3 structure from the Materials Project database. Energies are from GGA-PBE.

Geometry as POSCAR:
```
EuCu4P3
1.0
4.028 0.000 0.000
0.000 4.028 0.000
0.000 0.000 7.488
Eu Cu P
1 4 3
direct
0.000 0.000 0.000 Eu
0.000 0.500 0.325 Cu
0.000 0.500 0.675 Cu
0.500 0.000 0.325 Cu
0.500 0.000 0.675 Cu
0.000 0.000 0.500 P
0.500 0.500 0.152 P
0.500 0.500 0.848 P
```

Number 1: calculated formation energy -354 kJ/mol of formula units. Number 2: calculated formation energy -614 kJ/mol of formula units. Number 3: calculated formation energy -723 kJ/mol of formula units. Number 4: calculated formation energy 95 kJ/mol of formula units. Number 5: calculated formation energy -1448 kJ/mol of formula units. Number 6: calculated formation energy -338 kJ/mol of formula units.